[1]
VASP calculation (PBE+U) on Li3Cr2P3O12 after structural relaxation.

```
Li3Cr2P3O12
1.0
-1.281 7.818 3.663
-2.448 -3.855 7.372
9.121 -3.783 11.263
O Li P Cr
48 12 12 8
Cartesian
6.959 -3.353 11.486
1.115 3.180 8.742
-1.566 3.531 10.813
3.673 -5.226 14.531
1.846 1.435 11.012
1.721 5.405 7.768
7.105 -1.124 10.347
3.401 -0.842 15.281
6.406 -3.100 16.324
-1.233 6.779 4.746
1.992 1.021 7.017
3.740 -2.649 16.895
-0.393 1.328 4.166
7.120 -3.821 14.104
-1.271 -0.999 9.993
3.877 2.697 16.105
1.567 -1.664 13.347
5.786 -1.149 18.133
-1.726 4.000 8.194
3.268 3.094 12.406
5.472 -0.718 13.555
1.517 -2.519 6.193
-1.013 3.278 5.974
0.987 2.200 13.184
6.626 -6.600 17.552
2.738 -4.560 12.258
7.663 0.118 14.394
2.577 0.568 4.622
-2.270 0.061 7.905
2.817 -0.389 17.676
1.653 2.828 5.404
2.125 -2.915 9.893
3.826 1.843 8.952
-0.237 -4.317 9.595
3.048 0.802 13.214
5.620 1.632 14.535
6.664 1.178 12.305
6.140 1.173 17.407
2.655 4.739 10.041
5.630 4.496 12.703
-1.711 1.303 11.951
-0.227 -1.453 7.764
3.547 -1.256 11.287
-0.079 0.897 8.743
-0.746 -0.994 4.891
4.278 -3.001 13.556
4.407 -2.021 9.115
2.345 -0.623 9.085
-0.763 2.620 9.350
4.476 3.245 13.949
5.753 -0.621 8.996
5.021 -2.166 15.289
1.249 0.925 3.202
3.750 1.020 15.119
6.156 -2.441 12.948
0.373 2.345 7.009
1.643 -0.841 7.180
4.144 -0.746 19.096
-0.360 0.800 13.303
0.917 -3.066 8.350
6.391 0.551 13.693
7.575 -2.591 10.261
3.103 -1.712 9.902
2.763 -1.464 16.571
-0.997 -0.372 8.605
-2.266 3.756 6.752
1.465 4.669 9.105
7.659 -3.577 15.546
2.290 1.891 12.396
2.630 1.643 5.727
3.928 -4.490 13.194
-2.182 2.770 12.037
-0.581 -2.565 6.047
5.974 2.744 16.251
4.036 4.662 11.406
0.011 3.284 4.242
5.382 -3.105 18.056
1.958 1.311 9.062
3.435 -1.132 13.237
1.357 -4.483 10.892
```

Properties
Offset from the most stable computed form ... 0.005 eV per atom
Final energy ... -7.08 eV per atom
Size of the total moment ... 0.0 Bohr magnetons per cell
Formation energy ... -2663 meV per atom


[2]
VASP calculation (PBE+U) on Li8Sc5Fe3Si16O48 after structural relaxation.

```
Li8Sc5Fe3Si16O48
1.0
-2.185 -0.528 8.664
4.493 -8.803 0.597
10.370 1.253 2.691
Si O Fe Li Sc
16 48 3 8 5
Cartesian
12.917 -5.990 6.717
6.471 -6.015 9.691
10.848 -5.284 3.222
4.786 -7.023 6.212
3.632 -2.358 1.580
5.679 -5.895 1.874
4.409 -2.496 9.385
7.750 -6.629 5.354
1.279 -6.638 8.335
9.962 -6.396 7.561
9.606 -1.872 10.725
8.805 -1.746 2.915
0.138 -1.996 3.738
2.330 -1.774 5.918
5.315 -1.355 5.061
7.509 -1.147 7.257
6.679 -7.655 9.682
2.491 -3.423 5.852
4.905 -5.700 10.090
1.136 -1.343 4.871
4.483 -5.488 0.810
6.342 -7.367 5.788
6.832 -5.243 8.303
4.399 -7.786 7.581
9.564 -7.160 8.924
10.373 -2.063 2.504
3.761 -7.635 5.073
4.769 -3.095 7.913
13.258 -6.576 5.248
0.430 -3.509 9.102
0.515 -1.237 2.360
3.745 -1.058 5.464
10.705 -2.385 6.419
5.337 -5.312 3.344
8.112 -7.232 3.888
5.671 -0.579 3.678
11.521 -6.740 7.161
7.525 -4.992 5.437
5.520 -2.996 5.053
5.187 -2.704 1.158
8.608 -0.108 2.961
4.626 -5.372 6.270
2.331 -5.606 4.111
6.329 -0.712 6.189
7.670 -2.797 7.194
3.244 -3.123 2.952
5.609 -2.900 10.438
8.428 -2.503 4.295
8.933 -0.438 6.815
3.472 -0.709 1.638
7.181 -0.557 8.723
9.955 -2.480 9.258
8.951 -7.015 6.414
9.669 -4.848 2.157
11.009 -6.933 3.159
10.081 -5.092 11.440
1.647 -5.857 6.957
4.183 -0.861 9.467
-0.966 -1.490 8.098
11.844 -7.023 10.991
10.520 -4.692 4.692
5.877 -7.533 1.821
2.014 -1.183 7.384
9.804 -4.747 7.615
4.948 0.570 2.284
0.920 -4.722 5.557
6.103 -4.096 6.912
2.050 0.176 2.884
1.706 -4.532 2.441
3.192 -4.485 7.501
6.891 -3.905 3.787
-1.627 -0.393 6.453
8.377 -3.860 8.846
11.698 -7.995 4.819
3.553 0.233 7.816
5.800 0.463 9.776
3.971 -4.295 4.416
9.153 -3.674 5.761
5.146 -8.958 9.038
-0.230 -0.055 0.911
```

Properties
Final energy ... -7.58 eV per atom
Size of the total moment ... 15.0 Bohr magnetons per cell
Formation energy ... -3119 meV per atom


[3]
VASP calculation (PBE+U) on SrCa7Mn8O23 after structural relaxation.

```
SrCa7Mn8O23
1.0
7.642 -0.001 0.000
-0.001 7.642 0.000
0.000 0.000 7.717
O Mn Ca Sr
23 8 7 1
Cartesian
3.856 7.625 5.788
3.846 1.910 7.636
3.834 5.729 7.659
7.604 1.879 3.676
1.879 7.604 3.676
5.765 7.636 3.584
1.879 7.604 0.183
3.798 7.610 1.929
3.830 3.830 5.788
1.910 3.846 3.940
5.729 3.834 7.659
5.729 3.834 3.917
7.604 1.879 0.183
5.765 7.636 0.275
3.844 3.844 1.929
7.625 3.856 5.788
7.610 3.798 1.929
7.636 5.765 3.584
7.602 7.602 5.788
1.910 3.846 7.636
3.846 1.910 3.940
7.636 5.765 0.275
3.834 5.729 3.917
7.631 7.631 7.641
3.827 3.827 0.003
3.834 7.635 3.835
3.834 7.635 0.023
7.635 3.834 0.023
3.827 3.827 3.856
7.635 3.834 3.835
7.631 7.631 3.935
1.985 5.680 1.929
5.680 1.985 1.929
5.672 5.672 1.929
5.618 5.618 5.788
5.640 2.026 5.788
2.026 2.026 5.788
2.026 5.640 5.788
1.959 1.959 1.929
```

Properties
Offset from the most stable computed form ... 0.030 eV per atom
Final energy ... -6.91 eV per atom
Size of the total moment ... 26.0 Bohr magnetons per cell
Formation energy ... -2461 meV per atom


[4]
VASP calculation (PBE+U) on Lu2WO6 after structural relaxation.

```
Lu2WO6
1.0
-5.073 0.866 1.252
-0.559 -7.088 2.637
2.818 0.746 10.907
O W Lu
24 4 8
Cartesian
0.377 -6.348 6.846
-1.137 -4.615 10.674
-3.191 0.872 7.949
-0.185 -4.916 12.966
-1.997 -5.220 7.613
-1.677 -0.861 4.121
-0.668 -0.420 9.673
0.445 -3.949 7.867
1.656 -4.439 10.301
-4.470 -1.037 4.494
-1.031 -2.845 5.936
-2.629 -0.561 1.829
0.054 -0.295 1.347
-3.259 -1.528 6.928
-1.807 -3.240 3.064
-4.529 -3.713 3.293
1.715 -1.763 11.502
-2.867 -5.181 13.448
1.778 -1.490 8.754
-2.146 -5.057 5.122
-4.591 -3.986 6.041
-1.783 -2.631 8.859
-1.007 -2.236 11.731
-0.817 -0.256 7.182
-1.682 -3.819 12.498
-1.132 -1.657 2.297
-2.198 -0.862 8.361
-0.616 -4.615 6.434
-3.050 -2.764 4.903
-2.954 -4.496 9.434
-1.152 -5.417 3.189
-1.662 -0.060 11.606
-3.049 0.827 3.653
0.794 0.785 8.505
0.141 -0.980 5.361
0.236 -2.712 9.893
```

Properties
Final energy ... -8.14 eV per atom
Formation energy ... -3347 meV per atom


[5]
VASP calculation (PBE+U) on Sn2MoH12C4O5 after structural relaxation.

```
Sn2MoH12C4O5
1.0
8.544 0.000 0.000
0.000 11.922 0.000
-8.226 0.000 12.658
H C Mo O Sn
48 16 4 20 8
Cartesian
4.542 10.524 3.696
5.727 11.515 2.774
7.174 1.266 0.277
0.429 7.359 10.025
-4.224 1.398 8.962
-0.588 0.290 11.495
-2.053 1.640 5.254
2.371 10.282 7.404
-1.296 5.554 3.555
-1.542 9.606 5.114
6.484 7.601 1.075
0.896 1.176 8.557
-2.957 1.429 6.792
-0.878 9.058 3.540
-0.111 4.563 2.633
5.973 3.645 1.215
-3.052 2.992 5.897
5.309 3.097 2.789
3.061 4.695 6.606
-5.409 0.407 9.884
7.482 8.953 0.432
-0.579 10.746 4.101
-0.845 2.059 11.328
-2.950 8.021 7.659
1.196 2.864 9.118
-2.743 7.227 6.051
0.168 5.592 9.848
0.906 11.632 1.162
3.525 5.671 5.167
-5.655 8.277 11.443
-3.963 11.553 9.139
1.859 2.316 7.544
3.369 8.930 6.761
-7.165 2.969 12.226
-0.838 7.390 12.195
1.163 9.863 1.330
-6.856 10.656 12.380
-3.207 6.251 7.491
-6.166 4.321 11.583
-4.991 8.825 9.869
1.156 4.532 0.463
1.613 6.368 9.103
3.268 3.902 4.999
0.150 6.331 2.810
-4.692 7.137 10.429
3.275 10.493 5.866
5.010 4.785 2.228
4.281 0.370 3.519
0.556 6.495 9.363
-0.710 9.704 4.411
4.669 11.389 3.034
-0.238 5.427 3.295
-1.167 1.150 11.849
1.028 2.218 8.247
5.141 3.743 1.918
-4.824 8.179 10.740
-2.414 2.138 6.158
1.485 10.772 0.809
-2.629 7.111 7.138
2.731 9.784 6.499
-6.527 3.823 12.487
-4.351 0.534 9.624
2.946 4.811 5.520
6.845 8.099 0.170
0.983 1.654 3.690
3.448 7.615 2.639
-3.130 4.308 10.019
-0.665 10.269 8.968
-0.354 4.830 6.722
-1.814 3.584 8.946
-4.572 4.624 9.080
2.299 2.377 2.617
-2.567 5.836 10.670
1.546 0.125 4.341
-1.982 9.545 10.041
2.885 6.086 1.988
3.759 1.131 0.393
-1.229 11.798 8.317
3.865 8.798 1.251
-3.442 10.791 12.265
0.777 10.585 9.906
2.132 8.338 3.712
-0.248 9.086 7.580
0.566 2.837 5.078
0.672 7.092 5.936
-0.459 1.337 2.751
-3.547 3.125 11.407
4.890 7.298 3.577
-3.054 8.842 11.726
1.059 9.042 5.397
3.555 11.050 1.246
-0.741 2.880 7.261
-3.237 0.872 11.412
3.372 3.081 0.932
-0.558 6.833 7.575
0.876 5.089 5.083
```

Properties
Final energy ... -5.45 eV per atom
Size of the total moment ... 0.3 Bohr magnetons per cell
Formation energy ... -670 meV per atom


[6]
VASP calculation (PBE+U) on MnCl2O2 after structural relaxation.

```
MnCl2O2
1.0
-4.258 -1.778 -2.185
2.908 -3.156 -2.765
-0.400 -2.958 2.088
Mn O Cl
1 2 2
Cartesian
0.000 0.000 0.000
-2.544 -2.108 -2.324
1.194 -2.827 -2.626
-1.243 -5.379 -2.573
-0.507 -2.513 -0.289
```

Properties
Final energy ... -4.34 eV per atom
Size of the total moment ... 1.0 Bohr magnetons per cell
Formation energy ... -397 meV per atom


[7]
VASP calculation (PBE+U) on Li4Ti3Mn2Cr3O16 after structural relaxation.

```
Li4Ti3Mn2Cr3O16
1.0
2.970 5.098 0.000
-2.970 5.098 0.000
0.000 0.256 9.579
Cr O Li Mn Ti
3 16 4 2 3
Cartesian
0.000 8.681 7.589
1.465 4.270 2.726
-1.465 4.270 2.726
0.000 0.232 6.624
-1.472 4.521 8.634
0.000 0.060 1.805
1.345 7.750 6.399
0.000 8.587 3.833
1.551 6.025 3.792
0.000 5.531 6.309
0.000 6.954 8.589
-1.551 6.025 3.792
-1.345 7.750 6.399
0.000 1.912 8.613
1.280 2.689 1.472
0.000 3.419 3.778
0.000 4.924 1.502
-1.280 2.689 1.472
1.472 4.521 8.634
0.000 10.144 0.052
0.000 10.230 4.828
0.000 6.841 0.995
0.000 3.598 5.759
0.000 3.440 0.194
0.000 6.953 4.887
0.000 1.736 2.796
1.477 6.222 7.521
-1.477 6.222 7.521
```

Properties
Final energy ... -7.55 eV per atom
Size of the total moment ... 16.0 Bohr magnetons per cell
Formation energy ... -2642 meV per atom


[8]
VASP calculation (PBE+U) on Li3VFe2O6 after structural relaxation.

```
Li3VFe2O6
1.0
-3.064 -2.799 -5.209
-1.606 -0.484 -6.445
4.141 -3.781 -2.196
V Fe O Li
1 2 6 3
Cartesian
2.071 -1.890 -1.098
1.954 -4.281 -5.713
-2.482 -2.783 -8.137
-1.538 -4.992 -11.161
1.010 -2.072 -2.689
3.043 -4.041 -3.979
-1.196 -2.685 -6.437
0.667 -4.380 -7.414
-3.571 -3.023 -9.871
-0.204 -2.342 -4.625
-0.325 -4.723 -9.226
0.000 0.000 0.000
```

Properties
Offset from the most stable computed form ... 0.017 eV per atom
Final energy ... -6.32 eV per atom
Size of the total moment ... 11.4 Bohr magnetons per cell
Formation energy ... -2062 meV per atom


[9]
VASP calculation (PBE+U) on MgCo3NiO8 after structural relaxation.

```
MgCo3NiO8
1.0
1.641 -2.497 -4.883
1.641 -5.484 0.000
-3.586 -4.059 -2.483
O Co Mg Ni
8 3 1 1
Cartesian
-1.269 -7.733 -3.181
1.722 -6.840 -4.184
-1.268 -6.353 -5.436
-2.027 -5.200 -3.182
-0.475 -9.103 -5.569
0.170 -2.937 -1.797
0.963 -5.687 -1.931
0.964 -4.308 -4.185
1.641 -3.991 -2.441
0.820 -2.742 0.000
0.820 -1.248 -2.442
-0.153 -6.020 -3.683
0.000 0.000 0.000
```

Properties
Offset from the most stable computed form ... 0.000 eV per atom
Final energy ... -5.64 eV per atom
Size of the total moment ... 5.0 Bohr magnetons per cell
Formation energy ... -1388 meV per atom